(1)
First-principles (GGA+U) data for a relaxed structure of Li5MnHO4, as listed in the Materials Project.

Cell lengths 8.815, 9.162, 10.921 Å; angles 90.00, 90.00, 90.00 degrees
Sites, in units of the cell vectors:
Li1 0.979 0.580 0.195
Li2 0.979 0.920 0.195
Li3 0.067 0.073 0.434
Li4 0.067 0.427 0.434
Li5 0.071 0.750 0.439
Li6 0.120 0.250 0.981
Li7 0.110 0.568 0.990
Li8 0.110 0.932 0.990
Li9 0.203 0.577 0.640
Li10 0.203 0.923 0.640
Li11 0.297 0.077 0.140
Li12 0.297 0.423 0.140
Li13 0.390 0.068 0.490
Li14 0.390 0.432 0.490
Li15 0.380 0.750 0.481
Li16 0.429 0.250 0.939
Li17 0.433 0.573 0.934
Li18 0.433 0.927 0.934
Li19 0.521 0.080 0.695
Li20 0.521 0.420 0.695
Li21 0.479 0.580 0.305
Li22 0.479 0.920 0.305
Li23 0.567 0.073 0.066
Li24 0.567 0.427 0.066
Li25 0.571 0.750 0.061
Li26 0.620 0.250 0.519
Li27 0.610 0.568 0.510
Li28 0.610 0.932 0.510
Li29 0.703 0.577 0.860
Li30 0.703 0.923 0.860
Li31 0.797 0.077 0.360
Li32 0.797 0.423 0.360
Li33 0.890 0.068 0.010
Li34 0.890 0.432 0.010
Li35 0.880 0.750 0.019
Li36 0.929 0.250 0.561
Li37 0.933 0.927 0.566
Li38 0.933 0.573 0.566
Li39 0.021 0.080 0.805
Li40 0.021 0.420 0.805
Mn1 0.019 0.250 0.215
Mn2 0.209 0.250 0.656
Mn3 0.291 0.750 0.156
Mn4 0.481 0.750 0.715
Mn5 0.519 0.250 0.285
Mn6 0.709 0.250 0.844
Mn7 0.791 0.750 0.344
Mn8 0.981 0.750 0.785
H1 0.172 0.579 0.331
H2 0.172 0.921 0.331
H3 0.328 0.079 0.831
H4 0.328 0.421 0.831
H5 0.672 0.579 0.169
H6 0.672 0.921 0.169
H7 0.828 0.079 0.669
H8 0.828 0.421 0.669
O1 0.062 0.750 0.617
O2 0.079 0.418 0.114
O3 0.079 0.082 0.114
O4 0.062 0.415 0.618
O5 0.062 0.085 0.618
O6 0.077 0.750 0.103
O7 0.233 0.064 0.877
O8 0.233 0.436 0.877
O9 0.267 0.564 0.377
O10 0.267 0.936 0.377
O11 0.423 0.250 0.603
O12 0.438 0.585 0.118
O13 0.438 0.915 0.118
O14 0.421 0.582 0.614
O15 0.421 0.918 0.614
O16 0.438 0.250 0.117
O17 0.562 0.750 0.883
O18 0.579 0.082 0.386
O19 0.579 0.418 0.386
O20 0.562 0.085 0.882
O21 0.562 0.415 0.882
O22 0.577 0.750 0.397
O23 0.733 0.064 0.623
O24 0.733 0.436 0.623
O25 0.767 0.564 0.123
O26 0.767 0.936 0.123
O27 0.923 0.250 0.897
O28 0.938 0.915 0.382
O29 0.938 0.585 0.382
O30 0.921 0.918 0.886
O31 0.921 0.582 0.886
O32 0.938 0.250 0.383

Summary:
Total moment = 5.0 μB/f.u.
Formation energy = -1.88 eV/atom
Crystal system = orthorhombic

(2)
First-principles (GGA+U) data for a relaxed structure of Li2Mn3P4H4O16, as listed in the Materials Project.

Cell lengths 8.249, 8.904, 9.226 Å; angles 80.55, 90.00, 90.00 degrees
Sites, in units of the cell vectors:
Li1 0.330 0.016 0.028
Li2 0.170 0.016 0.528
Li3 0.830 0.984 0.472
Li4 0.670 0.984 0.972
Mn1 0.500 0.500 0.000
Mn2 0.139 0.651 0.005
Mn3 0.639 0.349 0.495
Mn4 0.000 0.500 0.500
Mn5 0.361 0.651 0.505
Mn6 0.861 0.349 0.995
P1 0.566 0.175 0.227
P2 0.803 0.617 0.204
P3 0.303 0.383 0.296
P4 0.066 0.825 0.273
P5 0.934 0.175 0.727
P6 0.697 0.617 0.704
P7 0.197 0.383 0.796
P8 0.434 0.825 0.773
H1 0.000 0.111 0.217
H2 0.041 0.276 0.234
H3 0.541 0.724 0.266
H4 0.500 0.889 0.283
H5 0.500 0.111 0.717
H6 0.459 0.276 0.734
H7 0.959 0.724 0.766
H8 0.000 0.889 0.783
O1 0.634 0.314 0.123
O2 0.003 0.214 0.159
O3 0.926 0.548 0.110
O4 0.539 0.040 0.145
O5 0.291 0.480 0.142
O6 0.640 0.658 0.130
O7 0.162 0.861 0.129
O8 0.380 0.218 0.271
O9 0.880 0.782 0.229
O10 0.662 0.139 0.371
O11 0.140 0.342 0.370
O12 0.791 0.520 0.358
O13 0.039 0.960 0.355
O14 0.426 0.452 0.390
O15 0.503 0.786 0.341
O16 0.134 0.686 0.377
O17 0.866 0.314 0.623
O18 0.497 0.214 0.659
O19 0.574 0.548 0.610
O20 0.961 0.040 0.645
O21 0.209 0.480 0.642
O22 0.860 0.658 0.630
O23 0.338 0.861 0.629
O24 0.120 0.218 0.771
O25 0.620 0.782 0.729
O26 0.838 0.139 0.871
O27 0.360 0.342 0.870
O28 0.709 0.520 0.858
O29 0.461 0.960 0.855
O30 0.074 0.452 0.890
O31 0.997 0.786 0.841
O32 0.366 0.686 0.877

Summary:
Total moment = 15.0 μB/f.u.
Formation energy = -2.33 eV/atom
Crystal system = monoclinic

(3)
First-principles (GGA+U) data for a relaxed structure of LiMnP3H10O14, as listed in the Materials Project.

Cell lengths 7.306, 10.044, 10.077 Å; angles 61.58, 70.66, 86.28 degrees
Sites, in units of the cell vectors:
Li1 0.128 0.320 0.320
Li2 0.872 0.680 0.680
Mn1 0.442 0.288 0.806
Mn2 0.558 0.712 0.194
P1 0.991 0.862 0.844
P2 0.009 0.138 0.156
P3 0.832 0.323 0.902
P4 0.168 0.677 0.098
P5 0.912 0.800 0.307
P6 0.088 0.200 0.693
H1 0.519 0.695 0.871
H2 0.481 0.305 0.129
H3 0.573 0.808 0.687
H4 0.427 0.192 0.313
H5 0.800 0.961 0.618
H6 0.200 0.039 0.382
H7 0.241 0.918 0.531
H8 0.759 0.082 0.469
H9 0.707 0.511 0.496
H10 0.293 0.489 0.504
H11 0.187 0.641 0.442
H12 0.813 0.359 0.558
H13 0.803 0.483 0.218
H14 0.197 0.517 0.782
H15 0.406 0.583 0.772
H16 0.594 0.417 0.228
H17 0.373 0.986 0.118
H18 0.627 0.014 0.882
H19 0.421 0.939 0.274
H20 0.579 0.061 0.726
O1 0.120 0.022 0.773
O2 0.880 0.978 0.227
O3 0.871 0.253 0.071
O4 0.129 0.747 0.929
O5 0.004 0.161 0.295
O6 0.996 0.839 0.705
O7 0.204 0.146 0.038
O8 0.796 0.854 0.962
O9 0.052 0.523 0.209
O10 0.948 0.477 0.791
O11 0.613 0.310 0.945
O12 0.387 0.690 0.055
O13 0.271 0.287 0.661
O14 0.729 0.713 0.339
O15 0.017 0.245 0.555
O16 0.983 0.755 0.445
O17 0.911 0.200 0.842
O18 0.089 0.800 0.158
O19 0.576 0.700 0.764
O20 0.424 0.300 0.236
O21 0.310 0.994 0.418
O22 0.690 0.006 0.582
O23 0.696 0.408 0.586
O24 0.304 0.592 0.414
O25 0.668 0.502 0.221
O26 0.332 0.498 0.779
O27 0.460 0.927 0.176
O28 0.540 0.073 0.824

Summary:
Total moment = 5.0 μB/f.u.
Formation energy = -1.92 eV/atom
Crystal system = triclinic